Entry 1:
Material: AlTeH6C2Cl3
Method: DFT, GGA-PBE
State: relaxed

Properties
volume	19.79	Å³ per atom
raw total energy	-4.487	eV per atom
SG	Pbcm, No. 57
ΔH_f (0 K)	-686	meV per atom

The structure in POSCAR format:
```
AlTeH6C2Cl3
1.0
6.647 0.000 0.000
0.000 11.051 0.000
0.000 0.000 14.010
H Al C Cl Te
24 4 8 12 4
Direct
0.959 0.886 0.075 H
0.062 0.619 0.703 H
0.062 0.119 0.797 H
0.226 0.979 0.635 H
0.041 0.886 0.575 H
0.041 0.614 0.575 H
0.938 0.619 0.203 H
0.774 0.479 0.365 H
0.959 0.386 0.425 H
0.774 0.021 0.365 H
0.959 0.114 0.425 H
0.774 0.979 0.135 H
0.062 0.881 0.703 H
0.041 0.114 0.925 H
0.938 0.881 0.203 H
0.041 0.386 0.925 H
0.774 0.521 0.135 H
0.938 0.381 0.297 H
0.226 0.479 0.865 H
0.226 0.521 0.635 H
0.062 0.381 0.797 H
0.938 0.119 0.297 H
0.226 0.021 0.865 H
0.959 0.614 0.075 H
0.547 0.250 0.561 Al
0.453 0.750 0.439 Al
0.453 0.250 0.061 Al
0.547 0.750 0.939 Al
0.857 0.607 0.136 C
0.143 0.607 0.636 C
0.143 0.893 0.636 C
0.857 0.107 0.364 C
0.857 0.893 0.136 C
0.857 0.393 0.364 C
0.143 0.393 0.864 C
0.143 0.107 0.864 C
0.669 0.087 0.619 Cl
0.331 0.913 0.381 Cl
0.224 0.250 0.573 Cl
0.331 0.587 0.381 Cl
0.331 0.413 0.119 Cl
0.669 0.913 0.881 Cl
0.669 0.587 0.881 Cl
0.776 0.250 0.073 Cl
0.669 0.413 0.619 Cl
0.224 0.750 0.927 Cl
0.331 0.087 0.119 Cl
0.776 0.750 0.427 Cl
0.362 0.250 0.869 Te
0.638 0.750 0.131 Te
0.638 0.250 0.369 Te
0.362 0.750 0.631 Te
```



Entry 2:
Material: AlC4NCl2
Method: DFT, GGA-PBE
State: relaxed

Properties
volume	29.60	Å³ per atom
raw total energy	-6.263	eV per atom
SG	P2_1, No. 4
ΔH_f (0 K)	170	meV per atom

The structure in POSCAR format:
```
AlC4NCl2
1.0
-2.948 1.575 -9.320
0.915 -5.563 -1.230
-7.726 -2.228 2.067
C Al N Cl
8 2 2 4
Direct
0.289 0.645 0.582 C
0.790 0.332 0.124 C
0.778 0.326 0.571 C
0.789 0.355 0.418 C
0.290 0.668 0.876 C
0.781 0.286 0.977 C
0.281 0.714 0.023 C
0.278 0.674 0.429 C
0.725 0.157 0.773 Al
0.225 0.843 0.227 Al
0.295 0.631 0.731 N
0.795 0.369 0.269 N
0.509 0.151 0.784 Cl
0.009 0.849 0.216 Cl
0.313 0.180 0.245 Cl
0.813 0.820 0.755 Cl
```



Entry 3:
Material: AlC3NCl3
Method: DFT, GGA-PBE
State: relaxed

Properties
volume	34.89	Å³ per atom
raw total energy	-4.981	eV per atom
SG	P2_1/m, No. 11
ΔH_f (0 K)	453	meV per atom

The structure in POSCAR format:
```
AlC3NCl3
1.0
10.974 0.000 0.000
0.000 6.749 0.000
0.000 2.082 7.538
C Cl N Al
6 6 2 2
Direct
0.632 0.390 0.224 C
0.868 0.390 0.224 C
0.368 0.610 0.776 C
0.132 0.610 0.776 C
0.250 0.495 0.797 C
0.750 0.505 0.203 C
0.589 0.200 0.743 Cl
0.250 0.231 0.346 Cl
0.089 0.800 0.257 Cl
0.750 0.769 0.654 Cl
0.411 0.800 0.257 Cl
0.911 0.200 0.743 Cl
0.250 0.711 0.759 N
0.750 0.289 0.241 N
0.750 0.052 0.713 Al
0.250 0.948 0.287 Al
```



Entry 4:
Material: AlC5NCl
Method: DFT, GGA-PBE
State: relaxed

Properties
volume	19.28	Å³ per atom
raw total energy	-6.304	eV per atom
SG	P2_1/m, No. 11
energy relative to the lowest polymorph listed for this composition	34.82	kJ/mol of atoms
ΔH_f (0 K)	1128	meV per atom

The structure in POSCAR format:
```
AlC5NCl
1.0
-6.454 0.000 3.019
0.798 0.000 -6.085
0.000 -8.369 0.000
C Cl N Al
10 2 2 2
Direct
0.228 0.839 0.250 C
0.831 0.614 0.835 C
0.730 0.328 0.650 C
0.169 0.386 0.335 C
0.831 0.614 0.665 C
0.169 0.386 0.165 C
0.730 0.328 0.850 C
0.772 0.161 0.750 C
0.270 0.672 0.350 C
0.270 0.672 0.150 C
0.656 0.445 0.250 Cl
0.344 0.555 0.750 Cl
0.538 0.157 0.750 N
0.462 0.843 0.250 N
0.699 0.802 0.750 Al
0.301 0.198 0.250 Al
```